Below is a geometry-optimized TmAu4 structure, with properties calculated at the r²SCAN level.

calculated volume	18.7	Å³ per atom
formation energy from the elements	-3.293	eV per formula unit

Cell lengths 6.702, 6.702, 4.161 Å; angles 90.00, 90.00, 90.00 degrees
Space group I4/m (No. 87)
Symmetry-distinct sites (fractional):
Tm 0.000 0.000 0.000 (multiplicity 2)
Au 0.100 0.300 0.500 (multiplicity 8)